[1]
# Li2AlFeO4 | Materials Project | PBE with a Hubbard U | relaxed
# Theoretical density = 3.0 Mg/m³
# E_tot = -6.341 eV/atom
# Magnetization = 5.00 μB per formula unit
# Calculated volume = 88.2 Å³/f.u.
# Maximum piezoelectric response = 1.14 C/m2
# Offset from the most stable computed form = 7.6 meV/atom
data_Li2AlFeO4
_chemical_formula_sum 'Li8 Al4 Fe4 O16'
_symmetry_space_group_name_H-M 'P n a 21'
_symmetry_Int_Tables_number 33
_symmetry_space_group_name_Hall 'P 2c -2n'
_cell_length_a 10.924
_cell_length_b 6.404
_cell_length_c 5.046
_cell_angle_alpha 90.00
_cell_angle_beta 90.00
_cell_angle_gamma 90.00
loop_
_atom_site_label
_atom_site_type_symbol
_atom_site_fract_x
_atom_site_fract_y
_atom_site_fract_z
Li1 Li 0.085 0.247 0.000
Li2 Li 0.167 0.996 0.499
Al1 Al 0.167 0.493 0.506
Fe1 Fe 0.085 0.744 0.003
O1 O 0.084 0.265 0.403
O2 O 0.093 0.724 0.382
O3 O 0.164 0.505 0.860
O4 O 0.176 0.984 0.900


[2]
# LiAlFeO4 | Materials Project | PBE with a Hubbard U | relaxed
# Theoretical density = 3.7 Mg/m³
# E_tot = -6.403 eV/atom
# Magnetization = 4.01 μB per formula unit
# Calculated volume = 68.7 Å³/f.u.
# Offset from the most stable computed form = 6.4 meV/atom
data_LiAlFeO4
_chemical_formula_sum 'Li4 Al4 Fe4 O16'
_symmetry_space_group_name_H-M 'P 43 2 2'
_symmetry_Int_Tables_number 95
_symmetry_space_group_name_Hall 'P 4cw 2c'
_cell_length_a 5.705
_cell_length_b 5.705
_cell_length_c 8.444
_cell_angle_alpha 90.00
_cell_angle_beta 90.00
_cell_angle_gamma 90.00
loop_
_atom_site_label
_atom_site_type_symbol
_atom_site_fract_x
_atom_site_fract_y
_atom_site_fract_z
Li1 Li 0.000 0.233 0.000
Al1 Al 0.263 0.263 0.625
Fe1 Fe 0.232 0.500 0.250
O1 O 0.002 0.265 0.261
O2 O 0.264 0.486 0.006


[3]
# Li2AlFeO4 | Materials Project | PBE with a Hubbard U | relaxed
# Theoretical density = 2.9 Mg/m³
# E_tot = -6.341 eV/atom
# Magnetization = 5.00 μB per formula unit
# Calculated volume = 90.7 Å³/f.u.
# Offset from the most stable computed form = 8.4 meV/atom
data_Li2AlFeO4
_chemical_formula_sum 'Li8 Al4 Fe4 O16'
_symmetry_space_group_name_H-M 'P 1 21/c 1'
_symmetry_Int_Tables_number 14
_symmetry_space_group_name_Hall '-P 2ybc'
_cell_length_a 5.158
_cell_length_b 10.918
_cell_length_c 8.243
_cell_angle_alpha 90.00
_cell_angle_beta 128.63
_cell_angle_gamma 90.00
loop_
_atom_site_label
_atom_site_type_symbol
_atom_site_fract_x
_atom_site_fract_y
_atom_site_fract_z
Li1 Li 0.056 0.079 0.260
Li2 Li 0.304 0.665 0.993
Al1 Al 0.440 0.087 0.755
Fe1 Fe 0.186 0.166 0.003
O1 O 0.105 0.091 0.766
O2 O 0.210 0.663 0.521
O3 O 0.321 0.168 0.530
O4 O 0.459 0.068 0.249


[4]
# LiAlFeO4 | Materials Project | PBE with a Hubbard U | relaxed
# Theoretical density = 3.7 Mg/m³
# E_tot = -6.409 eV/atom
# Magnetization = 4.00 μB per formula unit
# Calculated volume = 69.1 Å³/f.u.
# Offset from the most stable computed form = 0.0 meV/atom
data_LiAlFeO4
_chemical_formula_sum 'Li4 Al4 Fe4 O16'
_symmetry_space_group_name_H-M 'P 1 21 1'
_symmetry_Int_Tables_number 4
_symmetry_space_group_name_Hall 'P 2yb'
_cell_length_a 2.902
_cell_length_b 10.063
_cell_length_c 9.462
_cell_angle_alpha 90.00
_cell_angle_beta 91.79
_cell_angle_gamma 90.00
loop_
_atom_site_label
_atom_site_type_symbol
_atom_site_fract_x
_atom_site_fract_y
_atom_site_fract_z
Li1 Li 0.206 0.000 0.168
Li2 Li 0.208 0.755 0.668
Al1 Al 0.261 0.255 0.749
Al2 Al 0.261 0.500 0.249
Fe1 Fe 0.253 0.776 0.975
Fe2 Fe 0.254 0.979 0.474
O1 O 0.216 0.569 0.620
O2 O 0.218 0.186 0.119
O3 O 0.238 0.091 0.648
O4 O 0.238 0.663 0.148
O5 O 0.243 0.842 0.332
O6 O 0.243 0.912 0.832
O7 O 0.289 0.384 0.412
O8 O 0.290 0.370 0.912


[5]
# Li2AlFeO4 | Materials Project | PBE with a Hubbard U | relaxed
# Theoretical density = 2.8 Mg/m³
# E_tot = -6.282 eV/atom
# Magnetization = 0.00 μB per formula unit
# Calculated volume = 95.0 Å³/f.u.
# Offset from the most stable computed form = 67.2 meV/atom
data_Li2AlFeO4
_chemical_formula_sum 'Li16 Al8 Fe8 O32'
_symmetry_space_group_name_H-M 'P c a 21'
_symmetry_Int_Tables_number 29
_symmetry_space_group_name_Hall 'P 2c -2ac'
_cell_length_a 10.374
_cell_length_b 5.301
_cell_length_c 13.819
_cell_angle_alpha 90.00
_cell_angle_beta 90.00
_cell_angle_gamma 90.00
loop_
_atom_site_label
_atom_site_type_symbol
_atom_site_fract_x
_atom_site_fract_y
_atom_site_fract_z
Li1 Li 0.024 0.002 0.000
Li2 Li 0.028 0.507 0.391
Li3 Li 0.207 0.128 0.157
Li4 Li 0.208 0.622 0.236
Al1 Al 0.033 0.495 0.636
Al2 Al 0.214 0.006 0.381
Fe1 Fe 0.033 0.996 0.757
Fe2 Fe 0.214 0.505 0.009
O1 O 0.018 0.181 0.142
O2 O 0.020 0.659 0.245
O3 O 0.048 0.641 0.035
O4 O 0.061 0.148 0.361
O5 O 0.176 0.714 0.437
O6 O 0.177 0.190 0.949
O7 O 0.203 0.443 0.632
O8 O 0.215 0.944 0.765


[6]
# Li2AlFeO4 | Materials Project | PBE with a Hubbard U | relaxed
# Theoretical density = 3.0 Mg/m³
# E_tot = -6.341 eV/atom
# Magnetization = 5.00 μB per formula unit
# Calculated volume = 90.2 Å³/f.u.
# Offset from the most stable computed form = 8.5 meV/atom
data_Li2AlFeO4
_chemical_formula_sum 'Li8 Al4 Fe4 O16'
_symmetry_space_group_name_H-M 'P n a 21'
_symmetry_Int_Tables_number 33
_symmetry_space_group_name_Hall 'P 2c -2n'
_cell_length_a 10.958
_cell_length_b 5.101
_cell_length_c 6.454
_cell_angle_alpha 90.00
_cell_angle_beta 90.00
_cell_angle_gamma 90.00
loop_
_atom_site_label
_atom_site_type_symbol
_atom_site_fract_x
_atom_site_fract_y
_atom_site_fract_z
Li1 Li 0.087 0.222 0.000
Li2 Li 0.167 0.693 0.248
Al1 Al 0.166 0.685 0.748
Fe1 Fe 0.086 0.187 0.495
O1 O 0.085 0.775 0.977
O2 O 0.095 0.812 0.520
O3 O 0.160 0.334 0.735
O4 O 0.179 0.293 0.259